1.
Below is a relaxed Ca3ZrSi2O9 crystal, with properties calculated at the PBE level.

Unit cell a=7.443 b=10.331 c=10.527 alpha=90.00 beta=91.07 gamma=90.00
Space group P2_1/c (No. 14)
Unique sites:
Ca1 0.119 0.175 0.090
Ca2 0.365 0.077 0.386
Ca3 0.373 0.696 0.401
Zr1 0.124 0.564 0.115
Si1 0.166 0.624 0.682
Si2 0.402 0.135 0.811
O1 0.084 0.004 0.251
O2 0.096 0.110 0.510
O3 0.107 0.736 0.244
O4 0.140 0.623 0.529
O5 0.307 0.000 0.763
O6 0.344 0.608 0.015
O7 0.357 0.235 0.227
O8 0.379 0.166 0.960
O9 0.382 0.606 0.725



2.
Below is a relaxed BaCO3 crystal, with properties calculated at the PBE level.

Unit cell a=4.187 b=7.295 c=5.466 alpha=90.00 beta=90.00 gamma=90.00
Space group Pnn2 (No. 34)
Unique sites:
Ba1 0.000 0.000 0.000
C1 0.000 0.500 0.061
O1 0.000 0.500 0.824
O2 0.002 0.348 0.187



3.
Below is a relaxed DyZr6P9O36 crystal, with properties calculated at the PBE level.

Unit cell a=8.9444 b=8.9444 c=22.9487 alpha=90.00 beta=90.00 gamma=120.00
Space group P-3c1 (No. 165)
Unique sites:
Dy1 0.0000 0.0000 0.0000
Zr1 0.0000 0.0000 0.1493
Zr2 0.3333 0.6667 0.0285
Zr3 0.3333 0.6667 0.3128
P1 0.0000 0.2917 0.2500
P2 0.0548 0.3735 0.9210
O1 0.0095 0.1773 0.9216
O2 0.0309 0.2048 0.1960
O3 0.1156 0.4913 0.5746
O4 0.1473 0.4609 0.8643
O5 0.1591 0.4682 0.2600
O6 0.1718 0.4549 0.9742



4.
Below is a relaxed Ag2TeO6 crystal, with properties calculated at the PBE level.

Computed properties:
polymorph energy (0 for the lowest one) = 0.815 eV per formula unit

Unit cell a=6.022 b=16.772 c=11.100 alpha=90.00 beta=90.00 gamma=90.00
Space group Fdd2 (No. 43)
Unique sites:
Ag1 0.037 0.418 0.000
Te1 0.000 0.000 0.954
O1 0.040 0.300 0.091
O2 0.047 0.159 0.219
O3 0.076 0.302 0.332



| no. | E_form (meV per atom) |
| --- | --- |
| 1 | -3539 |
| 2 | -2639 |
| 3 | -3240 |
| 4 | -547 |